Entry 1:
Entry from the Materials Project: USi3Ni2 after structural relaxation (GGA-PBE).

Summary:
Calculated volume: 14.86 A^3/atom
Energy of formation from the pure elements: -0.5032 eV per atom
VASP energy: -7.024 eV per atom

a = 3.8881 Å, b = 3.8881 Å, c = 23.5965 Å
α = 90.00°, β = 90.00°, γ = 90.00°
With the nearest neighbours (Å) after each atom.
Space group I4/mmm (No. 139)
Asymmetric unit:
U 0.0000 0.0000 0.1497 x4  8 Si 2.96-3.06, 8 Ni 2.99-3.06
Si 0.0000 0.0000 0.3035 x4  5 Ni 2.29-2.32
Si 0.0000 0.5000 0.0496 x8  2 Ni 2.27, 1 Si 2.34
Ni 0.0000 0.0000 0.4004 x4  5 Si 2.27-2.29
Ni 0.0000 0.5000 0.2500 x4  4 Si 2.32

=====

Entry 2:
Entry from the Materials Project: USi2Ni2 after structural relaxation (GGA-PBE).

Summary:
Calculated volume: 14.85 A^3/atom
Energy of formation from the pure elements: -0.5758 eV per atom
VASP energy: -7.316 eV per atom

a = 3.9390 Å, b = 3.9390 Å, c = 9.5702 Å
α = 90.00°, β = 90.00°, γ = 90.00°
With the nearest neighbours (Å) after each atom.
Space group I4/mmm (No. 139)
Asymmetric unit:
U 0.0000 0.0000 0.0000 x2  8 Si 3.02, 8 Ni 3.10
Si 0.0000 0.0000 0.3770 x4  4 Ni 2.31, 1 Si 2.35
Ni 0.0000 0.5000 0.2500 x4  4 Si 2.31